Density functional theory data (PBE) for a relaxed LaCu2SeO2 crystal.

Structure (POSCAR):
```
LaCu2SeO2
1.0
4.018 0.000 0.000
0.000 4.018 0.000
0.000 0.000 12.058
La Cu Se O
1 2 1 2
Cartesian
0.000 0.000 0.000 La
0.000 0.000 3.852 Cu
0.000 0.000 8.206 Cu
0.000 0.000 6.029 Se
0.000 0.000 2.068 O
0.000 0.000 9.991 O
```

Computed properties:
SG: P4/mmm
VASP energy: -4.964 eV/atom